1.
{"formula": "Li4VCrTe2O12", "functional": "PBE with a Hubbard U", "state": "relaxed", "spacegroup": "P1, No. 1", "total_magnetization_mub_per_cell": 3.0, "formation_energy_ev_per_atom": -2.018, "energy_mp2020_ev_per_atom": -6.6193, "e_ij_max_c_m2": 3.59, "final_energy_ev_per_fu": -120.4, "cell": [[5.112, 0.000, 0.000], [0.017, 5.357, 0.000], [0.004, 0.464, 7.409]], "species": ["O", "O", "O", "O", "O", "O", "O", "O", "O", "O", "O", "O", "Li", "Li", "Li", "Li", "Te", "Te", "Cr", "V"], "frac_coords": [[0.320, 0.815, 0.441], [0.203, 0.689, 0.073], [0.194, 0.320, 0.445], [0.694, 0.206, 0.567], [0.816, 0.329, 0.949], [0.620, 0.510, 0.263], [0.803, 0.694, 0.572], [0.376, 0.511, 0.743], [0.670, 0.816, 0.953], [0.874, 0.019, 0.259], [0.123, 0.024, 0.740], [0.314, 0.201, 0.070], [0.500, 0.930, 0.205], [0.998, 0.428, 0.722], [0.003, 0.431, 0.210], [0.501, 0.961, 0.735], [0.496, 0.499, 0.992], [0.000, 0.989, 0.500], [0.001, 0.997, 0.000], [0.497, 0.491, 0.491]]}

2.
{"formula": "Li4V3Cr3Te2O16", "functional": "PBE with a Hubbard U", "state": "relaxed", "spacegroup": "P1, No. 1", "total_magnetization_mub_per_cell": 13.0, "formation_energy_ev_per_atom": -2.226, "energy_mp2020_ev_per_atom": -7.5584, "final_energy_ev_per_fu": -189.5, "cell": [[-2.306, -5.382, -1.238], [-1.926, 2.945, 4.841], [-7.124, 4.367, -5.481]], "species": ["O", "O", "O", "O", "O", "O", "O", "O", "O", "O", "O", "O", "O", "O", "O", "O", "Te", "Te", "Li", "Li", "Li", "Li", "Cr", "Cr", "Cr", "V", "V", "V"], "frac_coords": [[0.337, 0.664, 0.110], [0.513, 0.490, 0.826], [0.491, 0.516, 0.328], [0.155, 0.832, 0.601], [0.696, 0.833, 0.606], [0.314, 0.152, 0.097], [0.503, 0.977, 0.325], [0.838, 0.696, 0.108], [0.999, 0.003, 0.310], [0.663, 0.335, 0.609], [0.152, 0.315, 0.595], [0.520, 0.037, 0.840], [0.002, 0.999, 0.809], [0.973, 0.504, 0.830], [0.835, 0.157, 0.099], [0.038, 0.521, 0.339], [0.323, 0.655, 0.495], [0.654, 0.324, 0.996], [0.673, 0.338, 0.400], [0.996, 0.995, 0.992], [0.336, 0.671, 0.902], [0.997, 0.992, 0.492], [0.337, 0.168, 0.715], [0.170, 0.338, 0.215], [0.169, 0.832, 0.215], [0.828, 0.656, 0.719], [0.657, 0.830, 0.219], [0.830, 0.169, 0.715]]}

3.
{"formula": "Li4Cr2TeWO12", "functional": "PBE with a Hubbard U", "state": "relaxed", "spacegroup": "P1, No. 1", "total_magnetization_mub_per_cell": 4.0, "formation_energy_ev_per_atom": -2.064, "energy_mp2020_ev_per_atom": -7.1853, "final_energy_ev_per_fu": -127.0, "cell": [[-1.053, -4.885, 1.034], [5.228, -1.071, 0.346], [0.290, 1.458, 7.235]], "species": ["W", "Li", "Li", "Li", "Li", "O", "O", "O", "O", "O", "O", "O", "O", "O", "O", "O", "O", "Cr", "Cr", "Te"], "frac_coords": [[0.996, 0.996, 0.995], [0.995, 0.428, 0.716], [0.505, 0.931, 0.214], [0.001, 0.444, 0.219], [0.500, 0.933, 0.719], [0.686, 0.816, 0.951], [0.813, 0.315, 0.951], [0.184, 0.325, 0.444], [0.311, 0.200, 0.061], [0.316, 0.822, 0.443], [0.800, 0.698, 0.573], [0.197, 0.703, 0.063], [0.697, 0.198, 0.573], [0.116, 0.013, 0.751], [0.626, 0.519, 0.253], [0.890, 0.011, 0.254], [0.371, 0.517, 0.751], [0.001, 0.999, 0.495], [0.496, 0.491, 0.001], [0.501, 0.499, 0.501]]}

4.
{"formula": "LiTiCrO4", "functional": "PBE with a Hubbard U", "state": "relaxed", "total_magnetization_mub_per_cell": 0.0, "formation_energy_ev_per_atom": -2.862, "energy_mp2020_ev_per_atom": -8.4692, "final_energy_ev_per_fu": -54.5, "cell": [[5.057, 0.000, 0.000], [0.000, 9.648, 0.000], [0.000, 0.000, 5.970]], "species": ["Li", "Li", "Li", "Li", "Cr", "Cr", "Cr", "Cr", "O", "O", "O", "O", "O", "O", "O", "O", "O", "O", "O", "O", "O", "O", "O", "O", "Ti", "Ti", "Ti", "Ti"], "frac_coords": [[0.560, 0.964, 0.125], [0.560, 0.964, 0.625], [0.940, 0.464, 0.125], [0.940, 0.464, 0.625], [0.485, 0.362, 0.875], [0.485, 0.362, 0.375], [0.015, 0.862, 0.375], [0.015, 0.862, 0.875], [0.711, 0.281, 0.125], [0.192, 0.964, 0.125], [0.308, 0.464, 0.625], [0.789, 0.035, 0.875], [0.308, 0.464, 0.125], [0.789, 0.781, 0.625], [0.315, 0.718, 0.875], [0.789, 0.781, 0.125], [0.192, 0.964, 0.625], [0.711, 0.535, 0.375], [0.711, 0.535, 0.875], [0.315, 0.718, 0.375], [0.711, 0.281, 0.625], [0.185, 0.218, 0.875], [0.185, 0.218, 0.375], [0.789, 0.035, 0.375], [0.987, 0.143, 0.625], [0.513, 0.643, 0.625], [0.513, 0.643, 0.125], [0.987, 0.143, 0.125]]}

5.
{"formula": "Li6Ti7Cr5O24", "functional": "PBE with a Hubbard U", "state": "relaxed", "spacegroup": "P-1, No. 2", "total_magnetization_mub_per_cell": 14.0, "formation_energy_ev_per_atom": -2.946, "energy_mp2020_ev_per_atom": -8.5112, "final_energy_ev_per_fu": -331.0, "cell": [[-5.949, 0.000, 0.000], [-0.017, -5.977, 0.000], [2.956, 2.943, 12.634]], "species": ["O", "O", "O", "O", "O", "O", "O", "O", "O", "O", "O", "O", "O", "O", "O", "O", "O", "O", "O", "O", "O", "O", "O", "O", "Cr", "Cr", "Cr", "Cr", "Cr", "Ti", "Ti", "Ti", "Ti", "Ti", "Ti", "Ti", "Li", "Li", "Li", "Li", "Li", "Li"], "frac_coords": [[0.734, 0.755, 0.511], [0.088, 0.612, 0.675], [0.064, 0.094, 0.177], [0.387, 0.907, 0.824], [0.613, 0.093, 0.176], [0.944, 0.427, 0.843], [0.580, 0.608, 0.660], [0.608, 0.576, 0.160], [0.277, 0.756, 0.511], [0.241, 0.274, 0.992], [0.936, 0.906, 0.823], [0.914, 0.942, 0.327], [0.266, 0.245, 0.489], [0.580, 0.054, 0.661], [0.056, 0.573, 0.157], [0.759, 0.726, 0.008], [0.759, 0.277, 0.009], [0.392, 0.424, 0.840], [0.420, 0.946, 0.339], [0.086, 0.058, 0.673], [0.723, 0.244, 0.489], [0.420, 0.392, 0.340], [0.912, 0.388, 0.325], [0.241, 0.723, 0.991], [0.500, 0.500, 0.500], [0.165, 0.167, 0.833], [0.500, 0.000, 0.500], [0.835, 0.833, 0.167], [0.500, 0.500, 0.000], [0.832, 0.833, 0.665], [0.173, 0.667, 0.834], [0.000, 0.500, 0.000], [0.168, 0.167, 0.335], [0.667, 0.166, 0.336], [0.827, 0.333, 0.166], [0.333, 0.834, 0.664], [0.708, 0.956, 0.917], [0.041, 0.290, 0.582], [0.624, 0.376, 0.751], [0.959, 0.710, 0.418], [0.376, 0.624, 0.249], [0.292, 0.044, 0.083]]}

6.
{"formula": "Li2Ti3CrO8", "functional": "PBE with a Hubbard U", "state": "relaxed", "spacegroup": "P6_3mc, No. 186", "total_magnetization_mub_per_cell": 8.0, "formation_energy_ev_per_atom": -3.034, "energy_mp2020_ev_per_atom": -8.5157, "final_energy_ev_per_fu": -111.7, "cell": [[2.948, -5.106, 0.000], [2.948, 5.106, 0.000], [0.000, 0.000, 9.647]], "species": ["O", "O", "O", "O", "O", "O", "O", "O", "O", "O", "O", "O", "O", "O", "O", "O", "Ti", "Ti", "Ti", "Ti", "Ti", "Ti", "Cr", "Cr", "Li", "Li", "Li", "Li"], "frac_coords": [[0.960, 0.480, 0.838], [0.480, 0.520, 0.338], [0.520, 0.480, 0.838], [0.667, 0.333, 0.603], [0.520, 0.040, 0.838], [0.164, 0.327, 0.604], [0.673, 0.836, 0.604], [0.040, 0.520, 0.338], [0.333, 0.667, 0.103], [0.164, 0.836, 0.604], [0.327, 0.164, 0.104], [0.000, 0.000, 0.812], [0.836, 0.673, 0.104], [0.480, 0.960, 0.338], [0.000, 0.000, 0.312], [0.836, 0.164, 0.104], [0.831, 0.169, 0.713], [0.169, 0.831, 0.213], [0.662, 0.831, 0.213], [0.338, 0.169, 0.713], [0.169, 0.338, 0.213], [0.831, 0.662, 0.713], [0.667, 0.333, 0.984], [0.333, 0.667, 0.484], [0.000, 0.000, 0.497], [0.333, 0.667, 0.892], [0.667, 0.333, 0.392], [0.000, 0.000, 0.997]]}

7.
{"formula": "Li24TiCr11O36", "functional": "PBE with a Hubbard U", "state": "relaxed", "spacegroup": "P1, No. 1", "total_magnetization_mub_per_cell": 22.0, "formation_energy_ev_per_atom": -2.297, "energy_mp2020_ev_per_atom": -6.9919, "final_energy_ev_per_fu": -456.7, "cell": [[5.088, 0.000, 0.000], [-1.038, 10.544, 0.000], [-1.535, -5.250, 11.865]], "species": ["Cr", "Cr", "Cr", "Cr", "Cr", "Cr", "Cr", "Cr", "Cr", "Cr", "Cr", "O", "O", "O", "O", "O", "O", "O", "O", "O", "O", "O", "O", "O", "O", "O", "O", "O", "O", "O", "O", "O", "O", "O", "O", "O", "O", "O", "O", "O", "O", "O", "O", "O", "O", "O", "O", "Li", "Li", "Li", "Li", "Li", "Li", "Li", "Li", "Li", "Li", "Li", "Li", "Li", "Li", "Li", "Li", "Li", "Li", "Li", "Li", "Li", "Li", "Li", "Li", "Ti"], "frac_coords": [[0.446, 0.886, 0.634], [0.111, 0.220, 0.469], [0.225, 0.450, 0.199], [0.890, 0.780, 0.031], [0.550, 0.110, 0.860], [0.223, 0.447, 0.698], [0.443, 0.885, 0.135], [0.558, 0.114, 0.364], [0.776, 0.553, 0.802], [0.778, 0.553, 0.302], [0.892, 0.780, 0.530], [0.310, 0.412, 0.047], [0.784, 0.288, 0.926], [0.643, 0.076, 0.212], [0.113, 0.954, 0.091], [0.976, 0.743, 0.379], [0.900, 0.529, 0.667], [0.691, 0.591, 0.954], [0.024, 0.258, 0.124], [0.101, 0.472, 0.334], [0.447, 0.621, 0.758], [0.766, 0.804, 0.167], [0.359, 0.924, 0.288], [0.358, 0.925, 0.789], [0.553, 0.379, 0.742], [0.424, 0.140, 0.005], [0.099, 0.471, 0.833], [0.567, 0.862, 0.000], [0.236, 0.196, 0.333], [0.569, 0.861, 0.499], [0.976, 0.742, 0.879], [0.219, 0.712, 0.075], [0.308, 0.409, 0.546], [0.247, 0.192, 0.830], [0.553, 0.380, 0.243], [0.886, 0.046, 0.409], [0.782, 0.288, 0.425], [0.448, 0.623, 0.259], [0.643, 0.074, 0.709], [0.692, 0.591, 0.454], [0.873, 0.042, 0.904], [0.115, 0.954, 0.591], [0.765, 0.803, 0.666], [0.219, 0.713, 0.576], [0.431, 0.138, 0.500], [0.024, 0.257, 0.622], [0.902, 0.530, 0.167], [0.450, 0.393, 0.394], [0.335, 0.166, 0.167], [0.333, 0.666, 0.917], [0.771, 0.061, 0.059], [0.220, 0.940, 0.440], [0.219, 0.940, 0.940], [0.333, 0.668, 0.417], [0.552, 0.606, 0.106], [0.453, 0.392, 0.893], [0.780, 0.061, 0.560], [0.000, 0.001, 0.250], [0.998, 0.999, 0.749], [0.670, 0.835, 0.834], [0.551, 0.607, 0.607], [0.885, 0.273, 0.773], [0.888, 0.273, 0.273], [0.113, 0.728, 0.227], [0.667, 0.333, 0.584], [0.000, 0.500, 0.500], [0.666, 0.333, 0.084], [0.999, 0.501, 0.000], [0.668, 0.834, 0.334], [0.332, 0.166, 0.667], [0.113, 0.726, 0.726], [0.111, 0.221, 0.975]]}

8.
{"formula": "Li24TiCr11O36", "functional": "PBE with a Hubbard U", "state": "relaxed", "spacegroup": "C2, No. 5", "total_magnetization_mub_per_cell": 22.0, "formation_energy_ev_per_atom": -2.295, "energy_mp2020_ev_per_atom": -6.9898, "final_energy_ev_per_fu": -456.5, "cell": [[12.962, 2.536, 0.000], [-12.962, 2.536, 0.000], [0.000, 1.555, 9.586]], "species": ["Li", "Li", "Li", "Li", "Li", "Li", "Li", "Li", "Li", "Li", "Li", "Li", "Li", "Li", "Li", "Li", "Li", "Li", "Li", "Li", "Li", "Li", "Li", "Li", "O", "O", "O", "O", "O", "O", "O", "O", "O", "O", "O", "O", "O", "O", "O", "O", "O", "O", "O", "O", "O", "O", "O", "O", "O", "O", "O", "O", "O", "O", "O", "O", "O", "O", "O", "O", "Cr", "Cr", "Cr", "Cr", "Cr", "Cr", "Cr", "Cr", "Cr", "Cr", "Cr", "Ti"], "frac_coords": [[0.084, 0.916, 0.000], [0.721, 0.782, 0.751], [0.334, 0.167, 0.250], [0.280, 0.218, 0.751], [0.417, 0.583, 0.000], [0.607, 0.880, 0.751], [0.055, 0.449, 0.749], [0.551, 0.945, 0.251], [0.444, 0.051, 0.251], [0.666, 0.833, 0.249], [0.167, 0.334, 0.751], [0.001, 0.501, 0.250], [0.249, 0.751, 0.500], [0.833, 0.666, 0.750], [0.949, 0.556, 0.749], [0.218, 0.279, 0.249], [0.916, 0.084, 0.500], [0.584, 0.416, 0.500], [0.750, 0.250, 0.000], [0.120, 0.393, 0.249], [0.499, 0.999, 0.750], [0.386, 0.112, 0.748], [0.888, 0.614, 0.252], [0.782, 0.720, 0.249], [0.842, 0.888, 0.386], [0.645, 0.145, 0.386], [0.888, 0.841, 0.886], [0.813, 0.977, 0.884], [0.215, 0.501, 0.886], [0.722, 0.009, 0.386], [0.112, 0.158, 0.614], [0.023, 0.187, 0.116], [0.357, 0.859, 0.114], [0.855, 0.355, 0.614], [0.159, 0.112, 0.114], [0.825, 0.447, 0.114], [0.553, 0.175, 0.886], [0.478, 0.311, 0.886], [0.279, 0.993, 0.114], [0.613, 0.658, 0.113], [0.141, 0.643, 0.886], [0.175, 0.555, 0.387], [0.342, 0.387, 0.887], [0.991, 0.278, 0.614], [0.689, 0.522, 0.114], [0.659, 0.612, 0.613], [0.498, 0.212, 0.389], [0.788, 0.502, 0.611], [0.311, 0.477, 0.387], [0.499, 0.785, 0.114], [0.976, 0.810, 0.386], [0.331, 0.949, 0.614], [0.007, 0.721, 0.886], [0.051, 0.669, 0.386], [0.659, 0.043, 0.887], [0.957, 0.341, 0.113], [0.388, 0.341, 0.387], [0.190, 0.024, 0.614], [0.445, 0.825, 0.613], [0.523, 0.689, 0.613], [0.359, 0.641, 0.500], [0.694, 0.306, 0.500], [0.640, 0.360, 0.000], [0.807, 0.193, 0.500], [0.192, 0.808, 0.000], [0.139, 0.861, 0.500], [0.474, 0.526, 0.500], [0.305, 0.695, 0.000], [0.026, 0.974, 0.500], [0.975, 0.025, 0.000], [0.527, 0.473, 0.000], [0.862, 0.138, 0.000]]}